Record 1
The following is a GGA+U calculation of a relaxed structure of Fe5Cu2P6O24, from Materials Project.

Results
**ΔE_f**: -2.199 eV per atom
**M_tot**: 26.00 Bohr magnetons per cell
**Corrected total energy (MP2020 scheme)**: -7.653 eV/atom

a b c (Å): 6.335 8.053 9.458
angles (deg): 105.66 107.45 101.10
Space group P-1 (No. 2)
Symmetry-distinct sites (fractional):
Fe: 0.000 0.000 0.000
Fe: 0.049 0.721 0.526
Fe: 0.384 0.453 0.116
Cu: 0.260 0.805 0.270
P: 0.094 0.593 0.831
P: 0.232 0.148 0.771
P: 0.400 0.228 0.370
O: 0.020 0.194 0.667
O: 0.069 0.549 0.654
O: 0.114 0.787 0.915
O: 0.122 0.534 0.163
O: 0.206 0.949 0.705
O: 0.232 0.200 0.943
O: 0.248 0.275 0.464
O: 0.281 0.036 0.239
O: 0.311 0.539 0.915
O: 0.363 0.757 0.509
O: 0.438 0.360 0.282
O: 0.462 0.263 0.771

Record 2
The following is a GGA+U calculation of a relaxed structure of CrO2, from Materials Project.

Results
**ΔE_f**: -1.840 eV per atom
**M_tot**: 6.00 Bohr magnetons per cell
**Corrected total energy (MP2020 scheme)**: -8.356 eV/atom

a b c (Å): 2.9799 2.9799 14.3699
angles (deg): 90.00 90.00 120.00
Space group R-3m (No. 166, hexagonal axes)
Symmetry-distinct sites (fractional):
Cr: 0.0000 0.0000 0.0000
O: 0.0000 0.0000 0.2691

Record 3
The following is a GGA+U calculation of a relaxed structure of LiFeF4, from Materials Project.

Results
**ΔE_f**: -2.822 eV per atom
**Corrected total energy (MP2020 scheme)**: -5.829 eV/atom

a b c (Å): 5.708 4.855 10.177
angles (deg): 90.00 95.04 90.00
Space group P2_1/c (No. 14)
Symmetry-distinct sites (fractional):
Li: 0.078 0.040 0.372
Fe: 0.364 0.033 0.125
F: 0.109 0.646 0.700
F: 0.168 0.180 0.551
F: 0.352 0.678 0.456
F: 0.418 0.238 0.294

Record 4
The following is a GGA+U calculation of a relaxed structure of Li9Mn2Co5O16, from Materials Project.

Results
**ΔE_f**: -1.805 eV per atom
**M_tot**: 12.66 Bohr magnetons per cell
**Corrected total energy (MP2020 scheme)**: -6.499 eV/atom

a b c (Å): 10.373 5.796 9.762
angles (deg): 90.00 99.23 90.00
Space group C2/m (No. 12)
Symmetry-distinct sites (fractional):
Li: 0.000 0.000 0.000
Li: 0.000 0.248 0.500
Li: 0.124 0.000 0.758
Li: 0.127 0.500 0.757
Li: 0.250 0.250 0.000
Mn: 0.247 0.000 0.499
Co: 0.000 0.500 0.000
Co: 0.119 0.246 0.241
O: 0.052 0.268 0.880
O: 0.067 0.000 0.373
O: 0.075 0.500 0.367
O: 0.173 0.500 0.116
O: 0.186 0.000 0.142
O: 0.194 0.250 0.614

Record 5
The following is a GGA+U calculation of a relaxed structure of CrO3, from Materials Project.

Results
**ΔE_f**: -0.621 eV per atom
**M_tot**: 0.00 Bohr magnetons per cell
**Corrected total energy (MP2020 scheme)**: -6.745 eV/atom

a b c (Å): 3.4256 3.4256 10.6443
angles (deg): 90.00 90.00 120.00
Space group P6_3/mmc (No. 194)
Symmetry-distinct sites (fractional):
Cr: 0.3333 0.6667 0.2500
O: 0.0000 0.0000 0.2500
O: 0.3333 0.6667 0.0890

Record 6
The following is a GGA+U calculation of a relaxed structure of Li3V3P8O29, from Materials Project.

Results
**ΔE_f**: -2.518 eV per atom
**M_tot**: 0.00 Bohr magnetons per cell
**Corrected total energy (MP2020 scheme)**: -7.629 eV/atom

a b c (Å): 9.755 9.758 14.158
angles (deg): 89.70 89.99 60.08
Space group P1 (No. 1)
Symmetry-distinct sites (fractional):
Li: 0.000 0.000 0.000
Li: 0.079 0.651 0.580
Li: 0.180 0.370 0.119
Li: 0.317 0.763 0.118
Li: 0.418 0.586 0.515
Li: 0.860 0.007 0.510
V: 0.090 0.249 0.322
V: 0.100 0.114 0.806
V: 0.526 0.246 0.816
V: 0.536 0.678 0.315
V: 0.658 0.113 0.310
V: 0.662 0.680 0.816
P: 0.007 0.000 0.222
P: 0.007 0.461 0.725
P: 0.181 0.901 0.404
P: 0.182 0.361 0.906
P: 0.321 0.769 0.905
P: 0.323 0.369 0.406
P: 0.407 0.592 0.725
P: 0.409 0.452 0.221
P: 0.420 0.016 0.196
P: 0.433 0.011 0.694
P: 0.758 0.344 0.434
P: 0.764 0.342 0.933
P: 0.781 0.905 0.905
P: 0.789 0.764 0.407
P: 0.866 0.993 0.722
P: 0.869 0.595 0.221
O: 0.005 0.027 0.733
O: 0.011 0.299 0.733
O: 0.013 0.423 0.230
O: 0.086 0.898 0.485
O: 0.087 0.478 0.820
O: 0.089 0.477 0.641
O: 0.089 0.930 0.131
O: 0.104 0.428 0.998
O: 0.107 0.880 0.306
O: 0.176 0.939 0.900
O: 0.181 0.061 0.392
O: 0.183 0.334 0.399
O: 0.189 0.202 0.883
O: 0.274 0.164 0.239
O: 0.281 0.010 0.738
O: 0.299 0.681 0.815
O: 0.302 0.474 0.313
O: 0.314 0.463 0.490
O: 0.320 0.666 0.635
O: 0.326 0.689 0.996
O: 0.328 0.442 0.136
O: 0.351 0.335 0.897
O: 0.353 0.761 0.404
O: 0.420 0.015 0.092
O: 0.425 0.863 0.240
O: 0.429 0.010 0.590
O: 0.429 0.159 0.740
O: 0.435 0.597 0.225
O: 0.439 0.420 0.734
O: 0.474 0.775 0.887
O: 0.480 0.211 0.391
O: 0.563 0.594 0.737
O: 0.569 0.018 0.242
O: 0.571 0.298 0.241
O: 0.578 0.864 0.740
O: 0.605 0.494 0.392
O: 0.619 0.335 0.887
O: 0.621 0.059 0.888
O: 0.629 0.764 0.390
O: 0.709 0.149 0.735
O: 0.714 0.586 0.245
O: 0.752 0.763 0.901
O: 0.752 0.939 0.399
O: 0.754 0.495 0.888
O: 0.756 0.343 0.539
O: 0.761 0.339 0.038
O: 0.766 0.191 0.392
O: 0.833 0.596 0.732
O: 0.839 0.023 0.231
O: 0.855 0.679 0.132
O: 0.869 0.911 0.988
O: 0.877 0.685 0.493
O: 0.882 0.909 0.631
O: 0.885 0.880 0.809
O: 0.889 0.681 0.313
O: 0.905 0.350 0.390
O: 0.916 0.196 0.892
O: 0.999 0.159 0.245

Number 1: calculated volume 11.44 Å³/atom. Number 2: calculated volume 12.28 Å³/atom. Number 3: calculated volume 11.71 Å³/atom. Number 4: calculated volume 9.05 Å³/atom. Number 5: calculated volume 13.52 Å³/atom. Number 6: calculated volume 13.58 Å³/atom.